No. 1
{
  "formula": "CsZnFeF6",
  "functional": "PBE with a Hubbard U",
  "state": "optimized geometry",
  "formation_enthalpy_0k_ev_per_atom": -2.78,
  "crystal_system": "orthorhombic",
  "cell": [[-3.727, 3.759, 5.352], [3.727, -3.759, 5.352], [3.727, 3.759, -5.352]],
  "species": ["Cs", "Cs", "Zn", "Zn", "Fe", "Fe", "F", "F", "F", "F", "F", "F", "F", "F", "F", "F", "F", "F"],
  "frac_coords": [[0.372, 0.122, 0.250], [0.628, 0.878, 0.750], [0.000, 0.000, 0.500], [0.000, 0.500, 0.000], [0.000, 0.500, 0.500], [0.500, 0.500, 0.000], [0.070, 0.432, 0.261], [0.070, 0.809, 0.638], [0.071, 0.821, 0.250], [0.315, 0.565, 0.750], [0.329, 0.191, 0.761], [0.329, 0.568, 0.138], [0.671, 0.432, 0.862], [0.671, 0.809, 0.239], [0.685, 0.435, 0.250], [0.929, 0.179, 0.750], [0.930, 0.191, 0.362], [0.930, 0.568, 0.739]]
}

No. 2
{
  "formula": "Rb8Fe2O7",
  "functional": "PBE with a Hubbard U",
  "state": "optimized geometry",
  "formation_enthalpy_0k_ev_per_atom": -1.47,
  "crystal_system": "monoclinic",
  "polymorph_energy_ev_per_fu": 0.88,
  "cell": [[10.195, 0.000, 0.000], [0.000, 12.865, 0.000], [-3.630, 0.000, 11.415]],
  "species": ["Rb", "Rb", "Rb", "Rb", "Rb", "Rb", "Rb", "Rb", "Rb", "Rb", "Rb", "Rb", "Rb", "Rb", "Rb", "Rb", "Rb", "Rb", "Rb", "Rb", "Rb", "Rb", "Rb", "Rb", "Rb", "Rb", "Rb", "Rb", "Rb", "Rb", "Rb", "Rb", "Fe", "Fe", "Fe", "Fe", "Fe", "Fe", "Fe", "Fe", "O", "O", "O", "O", "O", "O", "O", "O", "O", "O", "O", "O", "O", "O", "O", "O", "O", "O", "O", "O", "O", "O", "O", "O", "O", "O", "O", "O"],
  "frac_coords": [[0.003, 0.228, 0.128], [0.003, 0.272, 0.628], [0.072, 0.026, 0.644], [0.072, 0.474, 0.144], [0.166, 0.508, 0.486], [0.166, 0.992, 0.986], [0.210, 0.243, 0.431], [0.210, 0.257, 0.931], [0.252, 0.557, 0.785], [0.252, 0.943, 0.285], [0.384, 0.021, 0.577], [0.384, 0.479, 0.077], [0.396, 0.741, 0.468], [0.396, 0.759, 0.968], [0.424, 0.040, 0.857], [0.424, 0.460, 0.357], [0.576, 0.540, 0.643], [0.576, 0.960, 0.143], [0.604, 0.241, 0.032], [0.604, 0.259, 0.532], [0.616, 0.521, 0.923], [0.616, 0.979, 0.423], [0.748, 0.057, 0.715], [0.748, 0.443, 0.215], [0.790, 0.743, 0.069], [0.790, 0.757, 0.569], [0.834, 0.008, 0.014], [0.834, 0.492, 0.514], [0.928, 0.526, 0.856], [0.928, 0.974, 0.356], [0.997, 0.728, 0.372], [0.997, 0.772, 0.872], [0.205, 0.713, 0.159], [0.205, 0.787, 0.659], [0.414, 0.204, 0.231], [0.414, 0.296, 0.731], [0.586, 0.704, 0.269], [0.586, 0.796, 0.769], [0.795, 0.213, 0.341], [0.795, 0.287, 0.841], [0.075, 0.670, 0.615], [0.075, 0.830, 0.115], [0.175, 0.626, 0.022], [0.175, 0.874, 0.522], [0.186, 0.628, 0.287], [0.186, 0.872, 0.787], [0.280, 0.186, 0.694], [0.280, 0.314, 0.194], [0.386, 0.119, 0.091], [0.386, 0.381, 0.591], [0.396, 0.724, 0.717], [0.396, 0.776, 0.217], [0.400, 0.123, 0.361], [0.400, 0.377, 0.861], [0.600, 0.623, 0.139], [0.600, 0.877, 0.639], [0.604, 0.224, 0.783], [0.604, 0.276, 0.283], [0.614, 0.619, 0.409], [0.614, 0.881, 0.909], [0.720, 0.686, 0.806], [0.720, 0.814, 0.306], [0.814, 0.128, 0.213], [0.814, 0.372, 0.713], [0.825, 0.126, 0.478], [0.825, 0.374, 0.978], [0.925, 0.170, 0.885], [0.925, 0.330, 0.385]]
}

No. 3
{
  "formula": "Mg2VP3O11",
  "functional": "PBE with a Hubbard U",
  "state": "optimized geometry",
  "formation_enthalpy_0k_ev_per_atom": -2.82,
  "crystal_system": "monoclinic",
  "cell": [[6.328, 0.000, 0.000], [0.000, 7.176, 0.000], [-2.828, 0.000, 18.292]],
  "species": ["Mg", "Mg", "Mg", "Mg", "Mg", "Mg", "Mg", "Mg", "V", "V", "V", "V", "P", "P", "P", "P", "P", "P", "P", "P", "P", "P", "P", "P", "O", "O", "O", "O", "O", "O", "O", "O", "O", "O", "O", "O", "O", "O", "O", "O", "O", "O", "O", "O", "O", "O", "O", "O", "O", "O", "O", "O", "O", "O", "O", "O", "O", "O", "O", "O", "O", "O", "O", "O", "O", "O", "O", "O"],
  "frac_coords": [[0.106, 0.096, 0.076], [0.106, 0.404, 0.576], [0.152, 0.044, 0.728], [0.152, 0.456, 0.228], [0.848, 0.544, 0.772], [0.848, 0.956, 0.272], [0.894, 0.596, 0.424], [0.894, 0.904, 0.924], [0.439, 0.661, 0.125], [0.439, 0.839, 0.625], [0.561, 0.161, 0.375], [0.561, 0.339, 0.875], [0.092, 0.184, 0.412], [0.092, 0.316, 0.912], [0.311, 0.032, 0.216], [0.311, 0.468, 0.716], [0.323, 0.669, 0.946], [0.323, 0.831, 0.446], [0.677, 0.169, 0.554], [0.677, 0.331, 0.054], [0.689, 0.532, 0.284], [0.689, 0.968, 0.784], [0.908, 0.684, 0.088], [0.908, 0.816, 0.588], [0.049, 0.158, 0.964], [0.049, 0.342, 0.464], [0.116, 0.605, 0.132], [0.116, 0.895, 0.632], [0.145, 0.573, 0.753], [0.145, 0.927, 0.253], [0.166, 0.701, 0.402], [0.166, 0.799, 0.902], [0.193, 0.020, 0.464], [0.193, 0.480, 0.964], [0.218, 0.219, 0.185], [0.218, 0.281, 0.685], [0.245, 0.240, 0.359], [0.245, 0.260, 0.859], [0.353, 0.570, 0.645], [0.353, 0.930, 0.145], [0.410, 0.746, 0.021], [0.410, 0.754, 0.521], [0.468, 0.561, 0.233], [0.468, 0.939, 0.733], [0.499, 0.099, 0.595], [0.499, 0.401, 0.095], [0.501, 0.599, 0.905], [0.501, 0.901, 0.405], [0.532, 0.061, 0.267], [0.532, 0.439, 0.767], [0.590, 0.246, 0.479], [0.590, 0.254, 0.979], [0.647, 0.070, 0.855], [0.647, 0.430, 0.355], [0.755, 0.740, 0.141], [0.755, 0.760, 0.641], [0.782, 0.719, 0.315], [0.782, 0.781, 0.815], [0.807, 0.520, 0.036], [0.807, 0.980, 0.536], [0.834, 0.201, 0.098], [0.834, 0.299, 0.598], [0.855, 0.073, 0.747], [0.855, 0.427, 0.247], [0.884, 0.105, 0.368], [0.884, 0.395, 0.868], [0.951, 0.658, 0.536], [0.951, 0.842, 0.036]]
}

No. 4
{
  "formula": "Li9Mn7O16",
  "functional": "PBE with a Hubbard U",
  "state": "optimized geometry",
  "formation_enthalpy_0k_ev_per_atom": -2.13,
  "crystal_system": "triclinic",
  "polymorph_energy_ev_per_fu": 0.57,
  "cell": [[3.018, 0.000, 0.000], [-1.129, 4.978, 0.000], [-0.511, -0.770, 19.954]],
  "species": ["Li", "Li", "Li", "Li", "Li", "Li", "Li", "Li", "Li", "Mn", "Mn", "Mn", "Mn", "Mn", "Mn", "Mn", "O", "O", "O", "O", "O", "O", "O", "O", "O", "O", "O", "O", "O", "O", "O", "O"],
  "frac_coords": [[0.000, 0.000, 0.000], [0.042, 0.298, 0.812], [0.188, 0.938, 0.437], [0.273, 0.551, 0.054], [0.439, 0.189, 0.688], [0.561, 0.811, 0.312], [0.727, 0.449, 0.946], [0.812, 0.062, 0.563], [0.958, 0.702, 0.188], [0.128, 0.626, 0.626], [0.234, 0.243, 0.249], [0.382, 0.875, 0.880], [0.500, 0.500, 0.500], [0.618, 0.125, 0.120], [0.766, 0.757, 0.751], [0.872, 0.374, 0.374], [0.024, 0.889, 0.098], [0.076, 0.485, 0.717], [0.183, 0.768, 0.535], [0.191, 0.106, 0.340], [0.228, 0.367, 0.156], [0.334, 0.716, 0.961], [0.436, 0.018, 0.785], [0.442, 0.357, 0.591], [0.558, 0.643, 0.409], [0.564, 0.982, 0.215], [0.666, 0.284, 0.039], [0.772, 0.633, 0.844], [0.809, 0.894, 0.660], [0.817, 0.232, 0.465], [0.924, 0.515, 0.283], [0.976, 0.111, 0.902]]
}